(1)
SiO2 | meta-GGA r2SCAN | optimized geometry

abc: 5.236 12.160 13.055
angles: 108.58 101.57 90.00
Sites, in units of the cell vectors:
O 0.665 0.138 0.830
Si 0.282 0.481 0.565
O 0.656 0.789 0.312
O 0.835 0.862 0.170
Si 0.931 0.832 0.862
Si 0.712 0.139 0.424
O 0.086 0.052 0.173
Si 0.369 0.714 0.739
O 0.165 0.138 0.830
Si 0.937 0.089 0.873
O 0.500 0.153 0.500
Si 0.288 0.861 0.576
O 0.335 0.862 0.170
O 0.843 0.243 0.186
Si 0.718 0.519 0.435
Si 0.718 0.782 0.435
O 0.000 0.153 0.500
O 0.344 0.574 0.689
Si 0.069 0.168 0.138
O 0.318 0.763 0.636
O 0.343 0.243 0.186
Si 0.282 0.218 0.565
O 0.500 0.500 0.500
O 0.657 0.757 0.814
O 0.656 0.426 0.311
O 0.500 0.847 0.500
Si 0.063 0.911 0.127
O 0.003 0.134 0.006
O 0.157 0.757 0.814
O 0.286 0.353 0.572
O 0.000 0.847 0.500
O 0.344 0.211 0.688
O 0.997 0.866 0.994
Si 0.623 0.882 0.247
O 0.333 0.988 0.667
O 0.714 0.647 0.428
Si 0.377 0.118 0.753
O 0.914 0.948 0.827
Si 0.631 0.286 0.261
O 0.000 0.500 0.500
O 0.682 0.237 0.364
O 0.667 0.012 0.333

Calculated values
* formation energy: -9.1 eV per formula unit
* SG: C2/m (12)

---

(2)
SrAs2O6 | meta-GGA r2SCAN | optimized geometry

abc: 4.874 4.874 10.903
angles: 90.00 90.00 120.00
Sites, in units of the cell vectors:
O 0.000 0.617 0.905
O 0.000 0.617 0.595
O 0.383 0.000 0.095
O 0.383 0.383 0.595
O 0.000 0.383 0.095
As 0.667 0.333 0.000
Sr 0.000 0.000 0.750
As 0.333 0.667 0.000
O 0.000 0.383 0.405
O 0.617 0.000 0.905
O 0.617 0.000 0.595
O 0.383 0.000 0.405
Sr 0.000 0.000 0.250
As 0.667 0.333 0.500
O 0.617 0.617 0.405
O 0.383 0.383 0.905
O 0.617 0.617 0.095
As 0.333 0.667 0.500

Calculated values
* formation energy: -17.6 eV per formula unit
* SG: P6_3/mcm (193)